No. 1
Entry from the Materials Project database: a geometry-optimized Dy2MgCd structure (r2SCAN).

The structure in POSCAR format:
```
Dy2MgCd
1.0
0.0000 3.7483 3.7483
3.7483 0.0000 3.7483
3.7483 3.7483 0.0000
Dy Mg Cd
2 1 1
Cartesian
1.8741 1.8741 1.8741 Dy
5.6224 5.6224 5.6224 Dy
0.0000 0.0000 0.0000 Mg
3.7483 3.7483 3.7483 Cd
```

Results
V = 105 Å³ per cell
Total moment = 0.00 μB per cell
E_form = -0.230 eV per atom
Energy = -89.16 eV per cell

=====

No. 2
Entry from the Materials Project database: a geometry-optimized DyAg3 structure (r2SCAN).

The structure in POSCAR format:
```
DyAg3
1.0
-2.1977 2.1977 4.1392
2.1977 -2.1977 4.1392
2.1977 2.1977 -4.1392
Dy Ag
1 3
Cartesian
0.0000 0.0000 0.0000 Dy
2.1977 0.0000 2.0696 Ag
0.0000 0.0000 4.1392 Ag
0.0000 2.1977 2.0696 Ag
```

Results
V = 80 Å³ per cell
Total moment = 0.00 μB per cell
E_form = -0.226 eV per atom
Energy = -96.95 eV per cell

=====

No. 3
Entry from the Materials Project database: a geometry-optimized K2Se3 structure (r2SCAN).

The structure in POSCAR format:
```
K2Se3
1.0
3.8332 -5.2630 0.0000
3.8332 5.2630 0.0000
0.0000 0.0000 7.6902
K Se
4 6
Cartesian
3.8332 4.3517 3.8451 K
3.8332 1.0372 5.5515 K
3.8332 -1.0372 1.7064 K
3.8332 -4.3517 0.0000 K
1.9546 1.6773 2.6876 Se
3.8332 2.1864 1.2931 Se
1.9546 -1.6773 6.5327 Se
5.7118 1.6773 2.6876 Se
3.8332 -2.1864 5.1382 Se
5.7118 -1.6773 6.5327 Se
```

Results
V = 310 Å³ per cell
Total moment = 0.00 μB per cell
E_form = -0.950 eV per atom
Energy = -119.44 eV per cell

=====

No. 4
Entry from the Materials Project database: a geometry-optimized LaPrAl6 structure (r2SCAN).

The structure in POSCAR format:
```
LaPrAl6
1.0
6.6320 0.0000 0.0000
-3.3160 5.7435 0.0000
0.0000 0.0000 4.6159
La Pr Al
1 1 6
Cartesian
0.0000 0.0000 0.0000 La
3.3160 1.9145 2.3079 Pr
-1.3646 3.0411 0.0000 Al
0.0000 2.2622 2.3079 Al
-1.3569 4.6124 2.3079 Al
1.3646 3.0411 0.0000 Al
0.0000 5.4048 0.0000 Al
1.3569 4.6124 2.3079 Al
```

Results
V = 176 Å³ per cell
Total moment = 0.00 μB per cell
E_form = -0.485 eV per atom
Energy = -103.43 eV per cell

=====

No. 5
Entry from the Materials Project database: a geometry-optimized Tb2Se3 structure (r2SCAN).

The structure in POSCAR format:
```
Tb2Se3
1.0
-4.3547 4.3547 13.0514
4.3547 -4.3547 13.0514
4.3547 4.3547 -13.0514
Tb Se
16 24
Cartesian
3.1659 2.2700 -5.5151 Tb
0.0000 0.0000 4.3160 Tb
6.4394 1.1888 1.0106 Tb
1.1888 2.2700 -1.0106 Tb
2.1774 -1.0165 9.7886 Tb
3.3382 2.1774 3.2629 Tb
2.1774 5.3712 -3.2629 Tb
1.1888 2.0847 7.5363 Tb
2.0847 -1.1888 18.5665 Tb
0.0000 4.3547 2.2098 Tb
3.1659 2.0847 12.0408 Tb
0.0000 0.0000 21.7869 Tb
2.2700 5.5435 5.5151 Tb
1.0165 2.1774 16.3143 Tb
-2.0847 3.1659 14.0621 Tb
0.0000 4.3547 10.8417 Tb
2.7564 -0.6039 3.7591 Se
4.9586 -1.5983 9.2923 Se
1.5502 -0.6808 6.9754 Se
3.6739 1.5502 0.4497 Se
3.7509 2.7564 -2.7666 Se
5.9530 0.6039 3.7591 Se
0.5640 1.5727 1.7086 Se
2.8045 5.0355 -6.0760 Se
2.8045 -0.6808 12.6018 Se
0.5640 2.7821 4.8171 Se
1.5983 -0.6039 15.8181 Se
3.7509 1.5983 9.2923 Se
3.6739 2.8045 6.0760 Se
1.5502 5.0355 -0.4497 Se
0.6039 1.5983 10.2848 Se
2.7564 4.9586 2.7666 Se
-1.5727 3.7907 8.2343 Se
0.6808 2.8045 13.5011 Se
-0.5640 5.9274 4.8171 Se
-2.7821 3.7907 11.3428 Se
1.5727 4.9187 8.2343 Se
-0.5640 7.1368 1.7086 Se
0.6808 1.5502 19.1275 Se
2.7821 4.9187 11.3428 Se
```

Results
V = 990 Å³ per cell
Total moment = 0.00 μB per cell
E_form = -2.148 eV per atom
Energy = -929.01 eV per cell

=====

No. 6
Entry from the Materials Project database: a geometry-optimized DyPd structure (r2SCAN).

The structure in POSCAR format:
```
DyPd
1.0
3.4846 0.0000 0.0000
0.0000 3.4846 0.0000
0.0000 0.0000 3.4846
Dy Pd
1 1
Cartesian
0.0000 0.0000 0.0000 Dy
1.7423 1.7423 1.7423 Pd
```

Results
V = 42 Å³ per cell
Total moment = 0.00 μB per cell
E_form = -0.928 eV per atom
Energy = -56.80 eV per cell

=====

No. 7
Entry from the Materials Project database: a geometry-optimized CdTe structure (r2SCAN).

The structure in POSCAR format:
```
CdTe
1.0
0.0000 3.2821 3.2821
3.2821 0.0000 3.2821
3.2821 3.2821 0.0000
Cd Te
1 1
Cartesian
0.0000 0.0000 0.0000 Cd
1.6411 1.6411 1.6411 Te
```

Results
V = 71 Å³ per cell
Total moment = 0.00 μB per cell
E_form = -0.561 eV per atom
Energy = -46.64 eV per cell

=====

No. 8
Entry from the Materials Project database: a geometry-optimized Ba4OF6 structure (r2SCAN).

The structure in POSCAR format:
```
Ba4OF6
1.0
8.7479 0.0000 0.0000
0.0000 8.7479 0.0000
0.0000 0.0000 6.2885
Ba O F
8 2 12
Cartesian
0.0343 2.1870 0.2708 Ba
2.1870 0.0343 3.4150 Ba
2.1870 4.3396 3.4150 Ba
4.3396 2.1870 0.2708 Ba
4.4082 6.5609 6.0177 Ba
6.5609 4.4082 2.8735 Ba
6.5609 8.7136 2.8735 Ba
8.7136 6.5609 6.0177 Ba
2.1870 6.5609 4.7164 O
6.5609 2.1870 1.5721 O
0.2435 4.6175 1.5721 F
0.2435 8.5043 1.5721 F
2.1870 2.1870 1.7782 F
2.1870 2.1870 4.9224 F
4.1304 4.6175 1.5721 F
4.1304 8.5043 1.5721 F
4.6175 0.2435 4.7164 F
4.6175 4.1304 4.7164 F
6.5609 6.5609 1.3661 F
6.5609 6.5609 4.5103 F
8.5043 0.2435 4.7164 F
8.5043 4.1304 4.7164 F
```

Results
V = 481 Å³ per cell
Total moment = 0.00 μB per cell
E_form = -3.818 eV per atom
Energy = -345.45 eV per cell